This record from the Materials Project database describes a relaxed Li6Mn3P4O16 crystal. The functional is GGA+U.

Output
ΔH_f (0 K) = -2.586 eV/atom
space-group type = P1
crystal system = triclinic
M_tot = 45.00 μB per cell

a b c (Å): 8.3382 9.1042 13.7444
angles (deg): 83.25 89.85 89.18
Last column: nearest neighbours and their distance in Å.
Atoms (fractional coordinates):
O: 0.8700 0.3180 0.7403  1 P 1.53
O: 0.7129 0.7025 0.9443  1 P 1.55
O: 0.8492 0.6510 0.3988  1 P 1.55
O: 0.3783 0.8490 0.9049  1 P 1.56
O: 0.6494 0.8184 0.7438  1 P 1.53
O: 0.3463 0.8611 0.5831  1 P 1.54
O: 0.0905 0.7475 0.8919  1 P 1.56
O: 0.0973 0.0751 0.5687  1 P 1.58
O: 0.3962 0.5984 0.5455  1 P 1.53
O: 0.8843 0.9778 0.7569  1 P 1.57
O: 0.9056 0.5911 0.7654  1 P 1.59
O: 0.7109 0.3811 0.2770  1 P 1.56
O: 0.9112 0.9147 0.4374  1 P 1.55
O: 0.7920 0.1972 0.9450  1 P 1.57
O: 0.6286 0.4704 0.7703  1 P 1.55
O: 0.6320 0.1451 0.1078  1 P 1.55
O: 0.1130 0.6955 0.5737  1 P 1.58
O: 0.6439 0.4856 0.0727  1 P 1.53
O: 0.2074 0.1366 0.7249  1 P 1.56
O: 0.3077 0.6541 0.7179  1 P 1.56
O: 0.4092 0.9104 0.2334  1 P 1.57
O: 0.8666 0.3229 0.4368  1 P 1.58
O: 0.1948 0.7953 0.0543  1 P 1.58
O: 0.6941 0.0356 0.6099  1 P 1.58
O: 0.5976 0.0892 0.7731  1 P 1.55
O: 0.3475 0.5177 0.9160  1 P 1.57
O: 0.5775 0.4208 0.4378  1 P 1.53
O: 0.0809 0.4186 0.2244  1 P 1.53
O: 0.2961 0.9645 0.3912  1 P 1.56
O: 0.7925 0.8714 0.2750  1 P 1.57
O: 0.1182 0.3524 0.9078  1 P 1.62
O: 0.8560 0.9776 0.0715  1 P 1.54
O: 0.1438 0.6837 0.2485  1 P 1.58
O: 0.1976 0.4816 0.3881  1 P 1.54
O: 0.1216 0.0215 0.2370  1 P 1.57
O: 0.3562 0.1806 0.2592  1 P 1.52
O: 0.3771 0.1937 0.5696  1 P 1.56
O: 0.1402 0.0136 0.9222  1 P 1.53
O: 0.5989 0.7593 0.1020  1 P 1.58
O: 0.4060 0.2445 0.9012  1 P 1.52
O: 0.2944 0.3259 0.0610  1 P 1.53
O: 0.6519 0.1551 0.4026  1 P 1.57
O: 0.6228 0.8196 0.4329  1 P 1.55
O: 0.9170 0.2443 0.1028  1 P 1.57
O: 0.1335 0.3491 0.5904  1 P 1.52
O: 0.8760 0.6382 0.1067  1 P 1.57
O: 0.3687 0.5114 0.2312  1 P 1.58
O: 0.7896 0.5304 0.6097  1 P 1.56
Li: 0.6214 0.5816 0.5139  3 O 1.93-1.94
Li: 0.3665 0.0812 0.8302  3 O 1.90-2.08
Li: 0.1013 0.9530 0.7017  3 O 1.96-2.02
Li: 0.9135 0.3657 0.9701  3 O 1.92-2.02
Li: 0.6206 0.2630 0.8513  4 O 1.92-2.08
Li: 0.0928 0.6027 0.0626  2 O 1.94-1.95
Li: 0.1468 0.2438 0.1593  3 O 1.92-2.07
Li: 0.6258 0.9423 0.1782  4 O 1.97-2.08
Li: 0.5576 0.2215 0.6513  2 O 1.92-1.97
Li: 0.8680 0.4060 0.1735  3 O 1.90-1.93
Li: 0.9069 0.7051 0.6307  3 O 1.89-2.01
Li: 0.5767 0.8842 0.9701  3 O 1.93-2.06
Li: 0.4085 0.7692 0.3940  2 O 1.94-1.99
Li: 0.3602 0.4138 0.4850  3 O 1.92-1.99
Li: 0.8646 0.7650 0.8421  4 O 1.93-2.15
Li: 0.7689 0.5931 0.2760  2 O 1.95-2.00
Li: 0.9098 0.0820 0.2761  2 O 1.94-2.17
Li: 0.1383 0.9054 0.4905  5 O 1.93-2.16
P: 0.6947 0.3232 0.3880  4 O 1.53-1.58
P: 0.2035 0.1932 0.6130  4 O 1.52-1.58
P: 0.7980 0.1399 0.0573  4 O 1.54-1.57
P: 0.1938 0.5162 0.2758  4 O 1.53-1.58
P: 0.2012 0.8540 0.9413  4 O 1.53-1.58
P: 0.2953 0.6984 0.6048  4 O 1.53-1.58
P: 0.7935 0.8158 0.3876  4 O 1.55-1.57
P: 0.7075 0.6431 0.0550  4 O 1.53-1.58
P: 0.2996 0.3532 0.9489  4 O 1.52-1.62
P: 0.7042 0.9790 0.7232  4 O 1.53-1.58
P: 0.7965 0.4736 0.7216  4 O 1.53-1.59
P: 0.2964 0.0228 0.2796  4 O 1.52-1.57
Mn: 0.9999 0.8448 0.1675  4 O 2.06-2.30
Mn: 0.8709 0.1065 0.5081  4 O 2.07-2.12
Mn: 0.0037 0.4976 0.4919  4 O 2.09-2.19
Mn: 0.4906 0.0133 0.4956  6 O 2.11-2.34
Mn: 0.5080 0.6568 0.8266  4 O 2.12-2.25
Mn: 0.4982 0.3279 0.1646  5 O 2.13-2.26
Mn: 0.3711 0.7297 0.1598  5 O 2.06-2.27
Mn: 0.9971 0.1624 0.8335  3 O 2.08-2.30
Mn: 0.1407 0.5618 0.8150  5 O 2.05-2.22

=====

This record from the Materials Project database describes a relaxed LiMnPO4 crystal. The functional is GGA+U.

Output
ΔH_f (0 K) = -2.573 eV/atom
space-group type = P6_5
crystal system = hexagonal
M_tot = 120.00 μB per cell

a b c (Å): 9.8853 9.8853 22.4821
angles (deg): 90.00 90.00 120.00
Last column: nearest neighbours and their distance in Å.
Atoms (fractional coordinates):
O: 0.8226 0.0082 0.6832  1 P 1.55
O: 0.8746 0.0678 0.9982  1 P 1.57
O: 0.7444 0.3642 0.5744  1 P 1.54
O: 0.3166 0.0174 0.6346  1 P 1.56
O: 0.9322 0.8069 0.6649  1 P 1.57
O: 0.7204 0.1686 0.3573  1 P 1.56
O: 0.5157 0.6647 0.5127  1 P 1.56
O: 0.0600 0.7271 0.1346  1 P 1.54
O: 0.3353 0.8510 0.1794  1 P 1.56
O: 0.9826 0.2992 0.3013  1 P 1.56
O: 0.4803 0.8533 0.0113  1 P 1.57
O: 0.7930 0.2885 0.4742  1 P 1.56
O: 0.8521 0.8774 0.1741  1 P 1.57
O: 0.2940 0.8115 0.5242  1 P 1.55
O: 0.4825 0.2940 0.3576  1 P 1.55
O: 0.3342 0.2560 0.5881  1 P 1.55
O: 0.2855 0.9634 0.0867  1 P 1.56
O: 0.7271 0.6671 0.3013  1 P 1.54
O: 0.5601 0.2069 0.1521  1 P 1.55
O: 0.1467 0.6270 0.6779  1 P 1.57
O: 0.6647 0.1490 0.6794  1 P 1.56
O: 0.5518 0.7204 0.1906  1 P 1.56
O: 0.7440 0.0782 0.2547  1 P 1.55
O: 0.7008 0.6834 0.9680  1 P 1.56
O: 0.5045 0.7930 0.3075  1 P 1.56
O: 0.4955 0.2070 0.8075  1 P 1.56
O: 0.9218 0.6658 0.9214  1 P 1.55
O: 0.6039 0.9252 0.7821  1 P 1.55
O: 0.3329 0.0600 0.9680  1 P 1.54
O: 0.2070 0.7115 0.9742  1 P 1.56
O: 0.8115 0.5175 0.6909  1 P 1.55
O: 0.0174 0.7008 0.8013  1 P 1.56
O: 0.0124 0.6786 0.5575  1 P 1.56
O: 0.8510 0.5157 0.3460  1 P 1.56
O: 0.6199 0.2556 0.9077  1 P 1.54
O: 0.6662 0.9876 0.8908  1 P 1.56
O: 0.8774 0.0253 0.3408  1 P 1.57
O: 0.6270 0.4803 0.8446  1 P 1.57
O: 0.3532 0.5601 0.9854  1 P 1.55
O: 0.1774 0.9918 0.1832  1 P 1.55
O: 0.7145 0.0366 0.5867  1 P 1.56
O: 0.2069 0.6468 0.3187  1 P 1.55
O: 0.4482 0.2796 0.6906  1 P 1.56
O: 0.9400 0.2729 0.6346  1 P 1.54
O: 0.3642 0.6199 0.7411  1 P 1.54
O: 0.0082 0.1856 0.8499  1 P 1.55
O: 0.0366 0.3221 0.7534  1 P 1.56
O: 0.4399 0.7931 0.6521  1 P 1.55
O: 0.6779 0.7145 0.4201  1 P 1.56
O: 0.0782 0.3342 0.4214  1 P 1.55
O: 0.9634 0.6779 0.2534  1 P 1.56
O: 0.3730 0.5197 0.3446  1 P 1.57
O: 0.5175 0.7060 0.8576  1 P 1.55
O: 0.1856 0.1774 0.0166  1 P 1.55
O: 0.3338 0.0124 0.3908  1 P 1.56
O: 0.6671 0.9400 0.4680  1 P 1.54
O: 0.7060 0.1885 0.0242  1 P 1.55
O: 0.7115 0.5045 0.1408  1 P 1.56
O: 0.6834 0.9826 0.1346  1 P 1.56
O: 0.3961 0.0748 0.2821  1 P 1.55
O: 0.1686 0.4482 0.5239  1 P 1.56
O: 0.9876 0.3214 0.0575  1 P 1.56
O: 0.3801 0.7444 0.4077  1 P 1.54
O: 0.6658 0.7440 0.0881  1 P 1.55
O: 0.8314 0.5518 0.0239  1 P 1.56
O: 0.6358 0.3801 0.2411  1 P 1.54
O: 0.8533 0.3730 0.1779  1 P 1.57
O: 0.9918 0.8144 0.3499  1 P 1.55
O: 0.4843 0.3353 0.0127  1 P 1.56
O: 0.0748 0.6787 0.4488  1 P 1.55
O: 0.7931 0.3532 0.8187  1 P 1.55
O: 0.2796 0.8314 0.8573  1 P 1.56
O: 0.1254 0.9322 0.4982  1 P 1.57
O: 0.6787 0.6039 0.6154  1 P 1.55
O: 0.1479 0.1226 0.6741  1 P 1.57
O: 0.6468 0.4399 0.4854  1 P 1.55
O: 0.8144 0.8226 0.5166  1 P 1.55
O: 0.1931 0.1254 0.3315  1 P 1.57
O: 0.3214 0.3338 0.2242  1 P 1.56
O: 0.2885 0.4955 0.6408  1 P 1.56
O: 0.9747 0.8521 0.0075  1 P 1.57
O: 0.3213 0.3961 0.1154  1 P 1.55
O: 0.5197 0.1467 0.5113  1 P 1.57
O: 0.3221 0.2855 0.9201  1 P 1.56
O: 0.8069 0.8746 0.8315  1 P 1.57
O: 0.0678 0.1931 0.1649  1 P 1.57
O: 0.2556 0.6358 0.0744  1 P 1.54
O: 0.6786 0.6662 0.7242  1 P 1.56
O: 0.1490 0.4843 0.8460  1 P 1.56
O: 0.2729 0.3329 0.8013  1 P 1.54
O: 0.9252 0.3213 0.9488  1 P 1.55
O: 0.0253 0.1479 0.5075  1 P 1.57
O: 0.2992 0.3166 0.4680  1 P 1.56
O: 0.1226 0.9747 0.8408  1 P 1.57
O: 0.1885 0.4825 0.1909  1 P 1.55
O: 0.2560 0.9218 0.7547  1 P 1.55
Mn: 0.5528 0.5012 0.0798  4 O 2.07-2.14
Mn: 0.0375 0.0426 0.0866  2 O 2.11-2.23
Mn: 0.5334 0.0403 0.0848  5 O 2.10-2.34
Mn: 0.0426 0.0051 0.2533  2 O 2.11-2.23
Mn: 0.4988 0.0516 0.7464  4 O 2.07-2.14
Mn: 0.9949 0.0375 0.9199  2 O 2.11-2.23
Mn: 0.4666 0.9597 0.5848  5 O 2.10-2.34
Mn: 0.9799 0.5179 0.0902  3 O 2.07-2.23
Mn: 0.5179 0.5380 0.2568  3 O 2.07-2.23
Mn: 0.5012 0.9484 0.2464  4 O 2.07-2.14
Mn: 0.5380 0.0201 0.4235  3 O 2.07-2.23
Mn: 0.0403 0.5069 0.2515  5 O 2.10-2.34
Mn: 0.9625 0.9574 0.5866  2 O 2.11-2.23
Mn: 0.9574 0.9949 0.7533  2 O 2.11-2.23
Mn: 0.4931 0.5334 0.9182  5 O 2.10-2.34
Mn: 0.9597 0.4931 0.7515  5 O 2.10-2.34
Mn: 0.0516 0.5528 0.9131  4 O 2.07-2.14
Mn: 0.4821 0.4620 0.7568  3 O 2.07-2.23
Mn: 0.4472 0.4988 0.5798  4 O 2.07-2.14
Mn: 0.0051 0.9625 0.4199  2 O 2.11-2.23
Mn: 0.5069 0.4666 0.4182  5 O 2.10-2.34
Mn: 0.4620 0.9799 0.9235  3 O 2.07-2.23
Mn: 0.9484 0.4472 0.4131  4 O 2.07-2.14
Mn: 0.0201 0.4821 0.5902  3 O 2.07-2.23
P: 0.2134 0.8800 0.1468  4 O 1.54-1.56
P: 0.6666 0.7866 0.4801  4 O 1.54-1.56
P: 0.8720 0.2239 0.0070  4 O 1.55-1.57
P: 0.1697 0.8572 0.8148  4 O 1.55-1.57
P: 0.6481 0.8720 0.8403  4 O 1.55-1.57
P: 0.3261 0.6894 0.0121  4 O 1.54-1.57
P: 0.1428 0.3125 0.4814  4 O 1.55-1.57
P: 0.6739 0.3106 0.5121  4 O 1.54-1.57
P: 0.3519 0.1280 0.3403  4 O 1.55-1.57
P: 0.3633 0.6739 0.3455  4 O 1.54-1.57
P: 0.3334 0.2134 0.9801  4 O 1.54-1.56
P: 0.6367 0.3261 0.8455  4 O 1.54-1.57
P: 0.6894 0.3633 0.1788  4 O 1.54-1.57
P: 0.7761 0.6481 0.6736  4 O 1.55-1.57
P: 0.3106 0.6367 0.6788  4 O 1.54-1.57
P: 0.1200 0.3334 0.8134  4 O 1.54-1.56
P: 0.1280 0.7761 0.5070  4 O 1.55-1.57
P: 0.8572 0.6875 0.9814  4 O 1.55-1.57
P: 0.8800 0.6666 0.3134  4 O 1.54-1.56
P: 0.6875 0.8303 0.1481  4 O 1.55-1.57
P: 0.8303 0.1428 0.3148  4 O 1.55-1.57
P: 0.7866 0.1200 0.6468  4 O 1.54-1.56
P: 0.2239 0.3519 0.1736  4 O 1.55-1.57
P: 0.3125 0.1697 0.6481  4 O 1.55-1.57
Li: 0.1798 0.7905 0.3757  4 O 1.96-2.07
Li: 0.8161 0.1200 0.5106  4 O 1.91-1.97
Li: 0.1200 0.3039 0.6772  4 O 1.91-1.97
Li: 0.3308 0.6760 0.8190  4 O 1.92-2.03
Li: 0.3039 0.1839 0.8439  4 O 1.91-1.97
Li: 0.6692 0.3240 0.3190  4 O 1.92-2.03
Li: 0.3240 0.6548 0.4856  4 O 1.92-2.03
Li: 0.1487 0.8316 0.6788  4 O 1.97-2.05
Li: 0.2095 0.3894 0.0424  4 O 1.96-2.07
Li: 0.1839 0.8800 0.0106  4 O 1.91-1.97
Li: 0.7905 0.6106 0.5424  4 O 1.96-2.07
Li: 0.6106 0.8202 0.7090  4 O 1.96-2.07
Li: 0.6961 0.8161 0.3439  4 O 1.91-1.97
Li: 0.3894 0.1798 0.2090  4 O 1.96-2.07
Li: 0.6548 0.3308 0.6523  4 O 1.92-2.03
Li: 0.8202 0.2095 0.8757  4 O 1.96-2.07
Li: 0.8800 0.6961 0.1772  4 O 1.91-1.97
Li: 0.8513 0.1684 0.1788  4 O 1.97-2.05
Li: 0.6829 0.8513 0.0121  4 O 1.97-2.05
Li: 0.6760 0.3452 0.9856  4 O 1.92-2.03
Li: 0.3171 0.1487 0.5121  4 O 1.97-2.05
Li: 0.8316 0.6829 0.8455  4 O 1.97-2.05
Li: 0.1684 0.3171 0.3455  4 O 1.97-2.05
Li: 0.3452 0.6692 0.1523  4 O 1.92-2.03

=====

This record from the Materials Project database describes a relaxed LiMnP2O7 crystal. The functional is GGA+U.

Output
ΔH_f (0 K) = -2.549 eV/atom
space-group type = P2_1/c
crystal system = monoclinic

a b c (Å): 8.2973 6.8991 9.2926
angles (deg): 69.78 90.00 90.00
Last column: nearest neighbours and their distance in Å.
Atoms (fractional coordinates):
O: 0.4068 0.8880 0.6996  1 P 1.54
O: 0.7579 0.8696 0.2074  1 P 1.56
O: 0.8145 0.2428 0.1011  2 P 1.59-1.62
O: 0.1855 0.7572 0.8989  2 P 1.59-1.62
O: 0.6120 0.0432 0.8800  1 P 1.50
O: 0.3145 0.7572 0.3989  2 P 1.59-1.62
O: 0.7754 0.6253 0.0499  1 P 1.55
O: 0.6855 0.2428 0.6011  2 P 1.59-1.62
O: 0.0816 0.5136 0.1409  1 P 1.55
O: 0.2421 0.1304 0.7926  1 P 1.56
O: 0.3880 0.9568 0.1200  1 P 1.50
O: 0.1149 0.5384 0.6062  1 P 1.52
O: 0.8880 0.0432 0.3800  1 P 1.50
O: 0.2246 0.3747 0.9501  1 P 1.55
O: 0.7421 0.8696 0.7074  1 P 1.56
O: 0.6149 0.4616 0.8938  1 P 1.52
O: 0.7246 0.6253 0.5499  1 P 1.55
O: 0.1120 0.9568 0.6200  1 P 1.50
O: 0.5933 0.1120 0.3004  1 P 1.54
O: 0.5816 0.4864 0.3591  1 P 1.55
O: 0.8851 0.4616 0.3938  1 P 1.52
O: 0.9184 0.4864 0.8591  1 P 1.55
O: 0.9068 0.1120 0.8004  1 P 1.54
O: 0.4184 0.5136 0.6409  1 P 1.55
O: 0.2754 0.3747 0.4501  1 P 1.55
O: 0.3851 0.5384 0.1062  1 P 1.52
O: 0.2579 0.1304 0.2926  1 P 1.56
O: 0.0932 0.8880 0.1996  1 P 1.54
P: 0.7640 0.0621 0.2591  4 O 1.50-1.62
P: 0.7238 0.4592 0.4723  4 O 1.52-1.59
P: 0.2762 0.5408 0.5277  4 O 1.52-1.59
P: 0.7360 0.0621 0.7591  4 O 1.50-1.62
P: 0.2238 0.5408 0.0277  4 O 1.52-1.59
P: 0.2360 0.9379 0.7409  4 O 1.50-1.62
P: 0.7762 0.4592 0.9723  4 O 1.52-1.59
P: 0.2640 0.9379 0.2409  4 O 1.50-1.62
Mn: 0.4331 0.2989 0.3234  4 O 1.90-1.95
Mn: 0.9331 0.7011 0.1766  4 O 1.90-1.95
Mn: 0.0669 0.2989 0.8234  4 O 1.90-1.95
Mn: 0.5669 0.7011 0.6766  4 O 1.90-1.95
Li: 0.5676 0.7943 0.0818  4 O 1.97-2.16
Li: 0.0676 0.2057 0.4182  4 O 1.97-2.16
Li: 0.4324 0.2057 0.9182  4 O 1.97-2.16
Li: 0.9324 0.7943 0.5818  4 O 1.97-2.16

=====

This record from the Materials Project database describes a relaxed LiMnPO4 crystal. The functional is GGA+U.

Output
ΔH_f (0 K) = -2.591 eV/atom
space-group type = P2_1/c
crystal system = monoclinic
M_tot = 60.01 μB per cell

a b c (Å): 7.5798 8.5242 17.0984
angles (deg): 60.78 90.00 90.00
Last column: nearest neighbours and their distance in Å.
Atoms (fractional coordinates):
P: 0.7641 0.3538 0.0893  4 O 1.55-1.57
P: 0.2705 0.0318 0.0773  4 O 1.54-1.57
P: 0.2295 0.0318 0.5773  4 O 1.54-1.57
P: 0.7359 0.3538 0.5893  4 O 1.55-1.57
P: 0.7308 0.6877 0.7308  4 O 1.54-1.57
P: 0.2359 0.6462 0.9107  4 O 1.55-1.57
P: 0.2641 0.6462 0.4107  4 O 1.55-1.57
P: 0.7692 0.6877 0.2308  4 O 1.54-1.57
P: 0.7705 0.9682 0.4227  4 O 1.54-1.57
P: 0.7295 0.9682 0.9227  4 O 1.54-1.57
P: 0.2692 0.3123 0.2692  4 O 1.54-1.57
P: 0.2308 0.3123 0.7692  4 O 1.54-1.57
Mn: 0.5318 0.3057 0.4269  4 O 2.13-2.18
Mn: 0.0318 0.6943 0.0731  4 O 2.13-2.18
Mn: 0.5354 0.3492 0.9127  5 O 2.13-2.27
Mn: 0.0354 0.6508 0.5873  5 O 2.13-2.27
Mn: 0.4646 0.6508 0.0873  5 O 2.13-2.27
Mn: 0.9646 0.3492 0.4127  5 O 2.13-2.27
Mn: 0.5430 0.9994 0.7440  3 O 2.11-2.19
Mn: 0.9682 0.3057 0.9269  4 O 2.13-2.18
Mn: 0.0430 0.0006 0.7560  3 O 2.11-2.19
Mn: 0.9570 0.9994 0.2440  3 O 2.11-2.19
Mn: 0.4682 0.6943 0.5731  4 O 2.13-2.18
Mn: 0.4570 0.0006 0.2560  3 O 2.11-2.19
O: 0.1099 0.5922 0.3694  1 P 1.55
O: 0.2361 0.5828 0.5126  1 P 1.57
O: 0.7356 0.4833 0.8006  1 P 1.56
O: 0.0540 0.1328 0.5402  1 P 1.54
O: 0.6099 0.4078 0.1306  1 P 1.55
O: 0.9460 0.8672 0.4598  1 P 1.54
O: 0.0629 0.5658 0.8969  1 P 1.55
O: 0.9371 0.4342 0.1031  1 P 1.55
O: 0.8813 0.8289 0.9526  1 P 1.55
O: 0.8763 0.7462 0.6590  1 P 1.54
O: 0.7225 0.1448 0.6391  1 P 1.56
O: 0.7639 0.4172 0.4874  1 P 1.57
O: 0.7482 0.7975 0.2819  1 P 1.57
O: 0.5499 0.7410 0.6812  1 P 1.56
O: 0.7518 0.7975 0.7819  1 P 1.57
O: 0.7623 0.1064 0.9566  1 P 1.57
O: 0.3813 0.1711 0.5474  1 P 1.55
O: 0.2194 0.9255 0.6818  1 P 1.56
O: 0.7806 0.0745 0.3182  1 P 1.56
O: 0.9501 0.7410 0.1812  1 P 1.56
O: 0.2482 0.2025 0.2181  1 P 1.57
O: 0.7775 0.1448 0.1391  1 P 1.56
O: 0.1187 0.1711 0.0474  1 P 1.55
O: 0.6187 0.8289 0.4526  1 P 1.55
O: 0.2806 0.9255 0.1818  1 P 1.56
O: 0.6237 0.7462 0.1590  1 P 1.54
O: 0.2225 0.8552 0.8609  1 P 1.56
O: 0.1237 0.2538 0.3410  1 P 1.54
O: 0.2518 0.2025 0.7181  1 P 1.57
O: 0.2623 0.8936 0.5434  1 P 1.57
O: 0.3763 0.2538 0.8410  1 P 1.54
O: 0.5540 0.8672 0.9598  1 P 1.54
O: 0.2639 0.5828 0.0126  1 P 1.57
O: 0.4371 0.5658 0.3969  1 P 1.55
O: 0.4501 0.2590 0.3188  1 P 1.56
O: 0.2356 0.5167 0.6994  1 P 1.56
O: 0.7377 0.1064 0.4566  1 P 1.57
O: 0.5629 0.4342 0.6031  1 P 1.55
O: 0.2644 0.5167 0.1994  1 P 1.56
O: 0.2775 0.8552 0.3609  1 P 1.56
O: 0.7644 0.4833 0.3006  1 P 1.56
O: 0.4460 0.1328 0.0402  1 P 1.54
O: 0.8901 0.4078 0.6306  1 P 1.55
O: 0.3901 0.5922 0.8694  1 P 1.55
O: 0.0499 0.2590 0.8188  1 P 1.56
O: 0.2377 0.8936 0.0434  1 P 1.57
O: 0.7194 0.0745 0.8182  1 P 1.56
O: 0.7361 0.4172 0.9874  1 P 1.57
Li: 0.1689 0.3433 0.0925  4 O 1.96-2.00
Li: 0.3186 0.6794 0.7410  4 O 1.95-2.02
Li: 0.8186 0.3206 0.7590  4 O 1.95-2.02
Li: 0.6729 0.0151 0.0799  4 O 1.94-2.05
Li: 0.1729 0.9849 0.4201  4 O 1.94-2.05
Li: 0.6689 0.6567 0.4075  4 O 1.96-2.00
Li: 0.3271 0.9849 0.9201  4 O 1.94-2.05
Li: 0.3311 0.3433 0.5925  4 O 1.96-2.00
Li: 0.1814 0.6794 0.2410  4 O 1.95-2.02
Li: 0.8311 0.6567 0.9075  4 O 1.96-2.00
Li: 0.8271 0.0151 0.5799  4 O 1.94-2.05
Li: 0.6814 0.3206 0.2590  4 O 1.95-2.02